Material: Pr7FeI12
Method: DFT, meta-GGA r2SCAN
State: relaxed Values from VASP.

ΔE_f: -2730 kJ/mol of formula units
energy: -0.9982 hartree per atom

```
&SYSTEM
  ibrav = 0, nat = 20, ntyp = 3
/
ATOMIC_SPECIES
Pr 140.91 Pr.upf
Fe 55.84 Fe.upf
I 126.90 I.upf
ATOMIC_POSITIONS crystal
Pr 0.3982 0.2002 0.4673
Pr 0.1998 0.4681 0.3979
Pr 0.0000 0.0000 0.0000
Fe 0.5000 0.5000 0.5000
I 0.1081 0.3471 0.0268
I 0.5749 0.7289 0.1868
I 0.3469 0.0244 0.1099
I 0.1829 0.5722 0.7256
I 0.2724 0.8166 0.4260
I 0.4251 0.2711 0.8132
Pr 0.5338 0.6076 0.8138
Pr 0.4662 0.3924 0.1862
I 0.8171 0.4278 0.2744
Pr 0.8002 0.5319 0.6021
I 0.7276 0.1834 0.5740
I 0.8919 0.6529 0.9732
I 0.9758 0.8930 0.6571
I 0.0242 0.1070 0.3429
I 0.6531 0.9756 0.8901
Pr 0.6018 0.7998 0.5327
CELL_PARAMETERS angstrom
-6.9279 4.8395 -5.2978
-2.2384 -9.7094 -0.3323
-0.8068 2.9898 9.6007
```

***

Material: LiCoO2
Method: DFT, meta-GGA r2SCAN
State: relaxed Values from VASP.

ΔE_f: -684 kJ/mol of formula units
energy: -0.3184 hartree per atom

```
&SYSTEM
  ibrav = 0, nat = 4, ntyp = 3
/
ATOMIC_SPECIES
Co 58.93 Co.upf
O 16.00 O.upf
Li 6.94 Li.upf
ATOMIC_POSITIONS crystal
Co 0.5000 0.5000 0.5000
O 0.2400 0.2400 0.2400
Li 0.0000 0.0000 0.0000
O 0.7600 0.7600 0.7600
CELL_PARAMETERS angstrom
4.7070 -1.4056 -0.0045
4.7070 1.4056 -0.0045
4.2895 0.0000 2.3941
```

***

Material: YbCr2Si2
Method: DFT, meta-GGA r2SCAN
State: relaxed Values from VASP.

ΔE_f: -198 kJ/mol of formula units
energy: -0.6341 hartree per atom

```
&SYSTEM
  ibrav = 0, nat = 5, ntyp = 3
/
ATOMIC_SPECIES
Cr 52.00 Cr.upf
Yb 173.04 Yb.upf
Si 28.09 Si.upf
ATOMIC_POSITIONS crystal
Cr 0.2500 0.7500 0.5000
Yb 0.0000 0.0000 0.0000
Si 0.6172 0.6172 0.0000
Cr 0.7500 0.2500 0.5000
Si 0.3828 0.3828 0.0000
CELL_PARAMETERS angstrom
3.2779 -4.7079 1.2531
-0.5133 -2.9007 5.0796
-3.3554 2.1217 -4.3265
```

***

Material: Yb2S3
Method: DFT, meta-GGA r2SCAN
State: relaxed Values from VASP.

ΔE_f: -1124 kJ/mol of formula units
energy: -0.7997 hartree per atom

```
&SYSTEM
  ibrav = 0, nat = 30, ntyp = 2
/
ATOMIC_SPECIES
S 32.06 S.upf
Yb 173.04 Yb.upf
ATOMIC_POSITIONS crystal
S 0.0000 0.6319 0.6050
S 0.3355 0.3355 0.2748
Yb 0.6667 0.3333 0.5091
S 0.6645 0.0000 0.2748
S 0.0000 0.3681 0.1050
Yb 0.3333 0.6667 0.7079
Yb 0.0000 0.0000 0.0459
S 0.6645 0.6645 0.7748
Yb 0.0000 0.0000 0.5459
Yb 0.6667 0.3333 0.0091
S 0.6319 0.0000 0.6050
S 0.0000 0.6988 0.9482
Yb 0.3333 0.6667 0.5091
S 0.6319 0.6319 0.1050
S 0.0000 0.6645 0.2748
S 0.0000 0.3012 0.4482
S 0.3681 0.0000 0.1050
S 0.6988 0.0000 0.9482
Yb 0.3333 0.6667 0.2079
Yb 0.3333 0.6667 0.0091
S 0.3681 0.3681 0.6050
S 0.3012 0.0000 0.4482
S 0.6988 0.6988 0.4482
Yb 0.0000 0.0000 0.8432
Yb 0.0000 0.0000 0.3432
S 0.3012 0.3012 0.9482
S 0.3355 0.0000 0.7748
Yb 0.6667 0.3333 0.2079
S 0.0000 0.3355 0.7748
Yb 0.6667 0.3333 0.7079
CELL_PARAMETERS angstrom
-4.2788 5.0973 -1.1121
3.2864 -2.8344 -5.1666
-13.7512 -12.0137 -2.1563
```

***

Material: Nb21S8
Method: DFT, meta-GGA r2SCAN
State: relaxed Values from VASP.

ΔE_f: -1749 kJ/mol of formula units
energy: -0.7626 hartree per atom

```
&SYSTEM
  ibrav = 0, nat = 29, ntyp = 2
/
ATOMIC_SPECIES
Nb 92.91 Nb.upf
S 32.06 S.upf
ATOMIC_POSITIONS crystal
Nb 0.7224 0.2588 0.2963
Nb 0.5495 0.5321 0.3689
Nb 0.6341 0.8173 0.9145
S 0.7868 0.8481 0.5783
S 0.9359 0.2015 0.9266
Nb 0.1907 0.0074 0.6111
Nb 0.6167 0.1979 0.5688
Nb 0.5486 0.0855 0.8173
Nb 0.9812 0.2963 0.7412
Nb 0.4514 0.9145 0.1827
S 0.8626 0.0734 0.2015
Nb 0.0000 0.0000 0.0000
Nb 0.1981 0.6111 0.9926
Nb 0.3659 0.1827 0.0855
Nb 0.8093 0.9926 0.3889
Nb 0.3833 0.8021 0.4312
Nb 0.8146 0.5688 0.8021
Nb 0.9184 0.6311 0.5321
Nb 0.4505 0.4679 0.6311
S 0.3651 0.4217 0.8481
S 0.6349 0.5783 0.1519
S 0.1374 0.9266 0.7985
S 0.2132 0.1519 0.4217
S 0.0641 0.7985 0.0734
Nb 0.0188 0.7037 0.2588
Nb 0.8019 0.3889 0.0074
Nb 0.2776 0.7412 0.7037
Nb 0.0816 0.3689 0.4679
Nb 0.1854 0.4312 0.1979
CELL_PARAMETERS angstrom
-2.4928 2.0828 0.9332
-7.7541 -8.3495 4.0425
3.5501 1.8820 11.4033
```

***

Material: ErZrSb
Method: DFT, meta-GGA r2SCAN
State: relaxed Values from VASP.

ΔE_f: -258 kJ/mol of formula units
energy: -1.0420 hartree per atom

```
&SYSTEM
  ibrav = 0, nat = 6, ntyp = 3
/
ATOMIC_SPECIES
Sb 121.76 Sb.upf
Er 167.26 Er.upf
Zr 91.22 Zr.upf
ATOMIC_POSITIONS crystal
Sb 0.1349 0.1349 0.2698
Er 0.6759 0.6759 0.3518
Zr 0.5000 0.0000 0.0000
Sb 0.8651 0.8651 0.7302
Er 0.3241 0.3241 0.6482
Zr 0.0000 0.5000 0.0000
CELL_PARAMETERS angstrom
4.1236 0.0000 -1.0383
-0.2614 4.1153 -1.0383
0.0170 0.0182 8.7756
```

***

Material: Mn6Si7Ni16
Method: DFT, meta-GGA r2SCAN
State: relaxed Values from VASP.

ΔE_f: -1504 kJ/mol of formula units
energy: -0.4522 hartree per atom

```
&SYSTEM
  ibrav = 0, nat = 29, ntyp = 3
/
ATOMIC_SPECIES
Ni 58.69 Ni.upf
Si 28.09 Si.upf
Mn 54.94 Mn.upf
ATOMIC_POSITIONS crystal
Ni 0.1178 0.1178 0.6467
Si 0.5000 0.0000 0.0000
Ni 0.8822 0.8822 0.3533
Ni 0.8822 0.8822 0.8822
Mn 0.3064 0.3064 0.6936
Si 0.0000 0.0000 0.5000
Ni 0.6670 0.6670 0.6670
Si 0.5000 0.0000 0.5000
Ni 0.3330 0.3330 0.3330
Si 0.0000 0.0000 0.0000
Ni 0.9989 0.6670 0.6670
Ni 0.6670 0.6670 0.9989
Mn 0.6936 0.3064 0.6936
Si 0.5000 0.5000 0.0000
Ni 0.0011 0.3330 0.3330
Ni 0.1178 0.6467 0.1178
Ni 0.6670 0.9989 0.6670
Si 0.0000 0.5000 0.5000
Ni 0.6467 0.1178 0.1178
Ni 0.3330 0.3330 0.0011
Ni 0.3533 0.8822 0.8822
Ni 0.8822 0.3533 0.8822
Mn 0.3064 0.6936 0.3064
Ni 0.1178 0.1178 0.1178
Ni 0.3330 0.0011 0.3330
Mn 0.6936 0.3064 0.3064
Mn 0.3064 0.6936 0.6936
Si 0.0000 0.5000 0.0000
Mn 0.6936 0.6936 0.3064
CELL_PARAMETERS angstrom
-0.0003 5.5160 5.5160
5.5160 -0.0003 5.5160
5.5160 5.5160 -0.0003
```

***

Material: Sr
Method: DFT, meta-GGA r2SCAN
State: relaxed Values from VASP.

ΔE_f: 18 kJ/mol of formula units
energy: -0.5499 hartree per atom

```
&SYSTEM
  ibrav = 0, nat = 4, ntyp = 1
/
ATOMIC_SPECIES
Sr 87.62 Sr.upf
ATOMIC_POSITIONS crystal
Sr 0.1646 0.5000 0.1709
Sr 0.8354 0.5000 0.8291
Sr 0.3355 0.8291 0.5000
Sr 0.6645 0.1709 0.5000
CELL_PARAMETERS angstrom
-4.1451 1.9816 5.4832
-6.2089 -2.8033 0.9859
0.3492 -3.1969 6.0858
```

***

Material: Tl3CoCl5
Method: DFT, meta-GGA r2SCAN
State: relaxed Values from VASP.

ΔE_f: -941 kJ/mol of formula units
energy: -0.8709 hartree per atom

```
&SYSTEM
  ibrav = 0, nat = 18, ntyp = 3
/
ATOMIC_SPECIES
Cl 35.45 Cl.upf
Tl 204.38 Tl.upf
Co 58.93 Co.upf
ATOMIC_POSITIONS crystal
Cl 0.6943 0.1943 0.6895
Cl 0.0048 0.5048 0.3105
Cl 0.3057 0.8057 0.3105
Tl 0.2500 0.2500 0.5000
Tl 0.8403 0.6597 0.0000
Cl 0.5000 0.5000 0.0000
Tl 0.7500 0.7500 0.5000
Cl 0.1943 0.9952 0.6895
Co 0.7500 0.2500 0.5000
Tl 0.3403 0.8403 0.0000
Cl 0.5048 0.3057 0.3105
Tl 0.1597 0.3403 0.0000
Co 0.2500 0.7500 0.5000
Cl 0.9952 0.4952 0.6895
Cl 0.8057 0.0048 0.3105
Tl 0.6597 0.1597 0.0000
Cl 0.0000 0.0000 0.0000
Cl 0.4952 0.6943 0.6895
CELL_PARAMETERS angstrom
7.5039 0.0000 -3.7724
-1.8965 7.2602 -3.7724
-0.0047 -0.0061 9.3399
```

***

Material: Si
Method: DFT, meta-GGA r2SCAN
State: relaxed Values from VASP.

ΔE_f: 8 kJ/mol of formula units
energy: -0.3193 hartree per atom

```
&SYSTEM
  ibrav = 0, nat = 68, ntyp = 1
/
ATOMIC_SPECIES
Si 28.09 Si.upf
ATOMIC_POSITIONS crystal
Si 0.0696 0.5348 0.7500
Si 0.3333 0.6667 0.3196
Si 0.5421 0.0843 0.6352
Si 0.0843 0.5421 0.3648
Si 0.0000 0.0000 0.3183
Si 0.3306 0.2806 0.5645
Si 0.5421 0.0843 0.8648
Si 0.4579 0.5421 0.1352
Si 0.9304 0.4652 0.2500
Si 0.6667 0.3333 0.8196
Si 0.2806 0.3306 0.0645
Si 0.1236 0.2471 0.6387
Si 0.4579 0.9157 0.1352
Si 0.7194 0.0499 0.5645
Si 0.2023 0.7977 0.7500
Si 0.7977 0.2023 0.2500
Si 0.5421 0.4579 0.8648
Si 0.5348 0.0696 0.2500
Si 0.4652 0.5348 0.7500
Si 0.7194 0.0499 0.9355
Si 0.4652 0.9304 0.7500
Si 0.9157 0.4579 0.8648
Si 0.3333 0.6667 0.1804
Si 0.1236 0.2471 0.8613
Si 0.8764 0.7529 0.3613
Si 0.2471 0.1236 0.3613
Si 0.0843 0.5421 0.1352
Si 0.2471 0.1236 0.1387
Si 0.8764 0.1235 0.1387
Si 0.6694 0.9501 0.4355
Si 0.8764 0.1235 0.3613
Si 0.4047 0.2023 0.2500
Si 0.0499 0.7194 0.4355
Si 0.4579 0.5421 0.3648
Si 0.9501 0.6694 0.5645
Si 0.9501 0.2806 0.9355
Si 0.1236 0.8765 0.6387
Si 0.7529 0.8764 0.8613
Si 0.2806 0.9501 0.0645
Si 0.2806 0.3306 0.4355
Si 0.9157 0.4579 0.6352
Si 0.6694 0.7194 0.0645
Si 0.7194 0.6694 0.5645
Si 0.2806 0.9501 0.4355
Si 0.3306 0.2806 0.9355
Si 0.6667 0.3333 0.6804
Si 0.7529 0.8764 0.6387
Si 0.5953 0.7977 0.7500
Si 0.0000 0.0000 0.8183
Si 0.0499 0.7194 0.0645
Si 0.5421 0.4579 0.6352
Si 0.0499 0.3306 0.0645
Si 0.2023 0.4047 0.7500
Si 0.9501 0.6694 0.9355
Si 0.1236 0.8765 0.8613
Si 0.0000 0.0000 0.6817
Si 0.6694 0.7194 0.4355
Si 0.3306 0.0499 0.9355
Si 0.0000 0.0000 0.1817
Si 0.8764 0.7529 0.1387
Si 0.3306 0.0499 0.5645
Si 0.0499 0.3306 0.4355
Si 0.7194 0.6694 0.9355
Si 0.5348 0.4652 0.2500
Si 0.9501 0.2806 0.5645
Si 0.6694 0.9501 0.0645
Si 0.4579 0.9157 0.3648
Si 0.7977 0.5953 0.2500
CELL_PARAMETERS angstrom
-5.1833 -8.9778 0.0000
-5.1833 8.9778 0.0000
0.0000 0.0000 -16.9703
```

***

Material: BaTl4
Method: DFT, meta-GGA r2SCAN
State: relaxed Values from VASP.

ΔE_f: -143 kJ/mol of formula units
energy: -1.7691 hartree per atom

```
&SYSTEM
  ibrav = 0, nat = 10, ntyp = 2
/
ATOMIC_SPECIES
Tl 204.38 Tl.upf
Ba 137.33 Ba.upf
ATOMIC_POSITIONS crystal
Tl 0.5500 0.7859 0.1141
Ba 0.8207 0.6482 0.7103
Tl 0.1544 0.7308 0.9604
Tl 0.8456 0.2692 0.0396
Tl 0.1280 0.0637 0.6803
Ba 0.1793 0.3518 0.2897
Tl 0.5953 0.2576 0.5518
Tl 0.4047 0.7424 0.4482
Tl 0.8720 0.9363 0.3197
Tl 0.4500 0.2141 0.8859
CELL_PARAMETERS angstrom
0.0000 -5.4106 0.0000
5.6887 -2.7053 -2.7985
5.6582 -2.7053 7.7978
```

***

Material: Li2ZrF6
Method: DFT, meta-GGA r2SCAN
State: relaxed Values from VASP.

ΔE_f: -3207 kJ/mol of formula units
energy: -0.3247 hartree per atom

```
&SYSTEM
  ibrav = 0, nat = 36, ntyp = 3
/
ATOMIC_SPECIES
F 19.00 F.upf
Li 6.94 Li.upf
Zr 91.22 Zr.upf
ATOMIC_POSITIONS crystal
F 0.2678 0.6004 0.1542
F 0.8677 0.1015 0.6774
F 0.7322 0.3996 0.8458
Li 0.4647 0.0358 0.3408
Zr 0.9880 0.7453 0.5015
Zr 0.0120 0.2547 0.4985
Li 0.9647 0.9642 0.1592
Li 0.4991 0.4054 0.6949
F 0.2322 0.6004 0.6542
F 0.3663 0.2469 0.5973
F 0.3677 0.8985 0.8226
F 0.1323 0.8985 0.3226
Li 0.5353 0.9642 0.6592
F 0.2586 0.2492 0.8438
Li 0.0009 0.4054 0.1949
F 0.6337 0.7531 0.4027
F 0.8663 0.7531 0.9027
F 0.7309 0.0446 0.9578
F 0.6860 0.4551 0.0747
Li 0.5009 0.5946 0.3051
F 0.2309 0.9554 0.5422
Li 0.0353 0.0358 0.8408
F 0.7414 0.7508 0.1562
F 0.2691 0.9554 0.0422
Zr 0.4880 0.2547 0.9985
F 0.7678 0.3996 0.3458
Li 0.9991 0.5946 0.8051
Zr 0.5120 0.7453 0.0015
F 0.6323 0.1015 0.1774
F 0.8140 0.4551 0.5747
F 0.1860 0.5449 0.4253
F 0.1337 0.2469 0.0973
F 0.7586 0.7508 0.6562
F 0.7691 0.0446 0.4578
F 0.2414 0.2492 0.3438
F 0.3140 0.5449 0.9253
CELL_PARAMETERS angstrom
-1.5339 3.2452 -3.2989
-4.3892 -5.1648 -3.0398
-9.6091 0.5828 5.0414
```

***

Material: Ti5S8
Method: DFT, meta-GGA r2SCAN
State: relaxed Values from VASP.

ΔE_f: -1935 kJ/mol of formula units
energy: -0.4212 hartree per atom

```
&SYSTEM
  ibrav = 0, nat = 13, ntyp = 2
/
ATOMIC_SPECIES
S 32.06 S.upf
Ti 47.87 Ti.upf
ATOMIC_POSITIONS crystal
S 0.5000 0.7139 0.3731
Ti 0.5000 0.4137 0.2635
S 0.0000 0.1957 0.3726
Ti 0.5000 0.4953 0.9985
Ti 0.0000 0.0101 0.0028
S 0.0000 0.3690 0.8821
S 0.5000 0.1322 0.1279
S 0.5000 0.8702 0.8902
S 0.0000 0.6247 0.1306
Ti 0.0000 0.4977 0.4938
Ti 0.5000 0.9968 0.5015
S 0.5000 0.2980 0.6129
S 0.0000 0.7941 0.6162
CELL_PARAMETERS angstrom
-0.5560 -1.7742 -2.8947
1.2482 -5.0839 2.8764
-10.9875 -2.7384 3.7889
```